Record 1
## Tb3Ru (PBE)

Data for a relaxed structure of Tb3Ru.

Cell: 7.321 9.300 6.328 Å, 90.00 90.00 90.00°
Space group Pnma (No. 62)
Unique sites:
Tb1 0.039 0.250 0.138
Tb2 0.175 0.065 0.672
Ru1 0.116 0.750 0.458

Summary:
Its electronic total energy is -6.101 eV/atom. Its calculated formation energy is -0.31 eV per atom.


Record 2
## TcRu (PBE)

Data for a relaxed structure of TcRu.

Cell: 2.7475 2.7475 4.3487 Å, 90.00 90.00 120.00°
Space group P-6m2 (No. 187)
Unique sites:
Tc1 0.0000 0.0000 0.0000
Ru1 0.3333 0.6667 0.5000

Summary:
Its electronic total energy is -9.877 eV/atom. Its calculated formation energy is -0.06 eV per atom.


Record 3
## Tc3Ru (PBE)

Data for a relaxed structure of Tc3Ru.

Cell: 5.5216 5.5216 4.3641 Å, 90.00 90.00 120.00°
Space group P6_3/mmc (No. 194)
Unique sites:
Tc1 0.1650 0.3299 0.2500
Ru1 0.3333 0.6667 0.7500

Summary:
Its electronic total energy is -10.135 eV/atom. Its calculated formation energy is -0.05 eV per atom.


Record 4
## TcRu3 (PBE)

Data for a relaxed structure of TcRu3.

Cell: 5.4754 5.4754 4.3301 Å, 90.00 90.00 120.00°
Space group P6_3/mmc (No. 194)
Unique sites:
Tc1 0.3333 0.6667 0.2500
Ru1 0.1673 0.3345 0.7500

Summary:
Its electronic total energy is -9.613 eV/atom. Its calculated formation energy is -0.07 eV per atom.


Record 5
## V2TcRu (PBE)

Data for a relaxed structure of V2TcRu.

Cell: 6.036 6.036 6.036 Å, 90.00 90.00 90.00°
Space group Fm-3m (No. 225)
Unique sites:
V1 0.250 0.250 0.250
Tc1 0.000 0.000 0.000
Ru1 0.000 0.000 0.500

Summary:
Its electronic total energy is -9.775 eV/atom. Its calculated formation energy is -0.32 eV per atom.


Record 6
## Te2Ru (PBE)

Data for a relaxed structure of Te2Ru.

Cell: 6.466 6.466 6.466 Å, 90.00 90.00 90.00°
Space group Pa-3 (No. 205)
Unique sites:
Te1 0.128 0.128 0.128
Ru1 0.000 0.000 0.500

Summary:
Its electronic total energy is -5.518 eV/atom. Its calculated formation energy is -0.33 eV per atom.


Record 7
## Te2Ru (PBE)

Data for a relaxed structure of Te2Ru.

Cell: 5.348 6.468 4.070 Å, 90.00 90.00 90.00°
Space group Pnnm (No. 58)
Unique sites:
Te1 0.221 0.134 0.000
Ru1 0.000 0.500 0.000

Summary:
Its electronic total energy is -5.525 eV/atom. Its calculated formation energy is -0.34 eV per atom.


Record 8
## VTeRu (PBE)

Data for a relaxed structure of VTeRu.

Cell: 6.077 6.077 6.077 Å, 90.00 90.00 90.00°
Space group F-43m (No. 216)
Unique sites:
V1 0.000 0.000 0.000
Te1 0.000 0.000 0.500
Ru1 0.250 0.250 0.250

Summary:
Its electronic total energy is -7.282 eV/atom. Its calculated formation energy is -0.11 eV per atom.


Record 9
## Th7Ru3 (PBE)

Data for a relaxed structure of Th7Ru3.

Cell: 9.9607 9.9607 6.3423 Å, 90.00 90.00 120.00°
Space group P6_3mc (No. 186)
Unique sites:
Th1 0.0817 0.5408 0.0000
Th2 0.1259 0.2517 0.7022
Th3 0.3333 0.6667 0.4924
Ru1 0.1864 0.3727 0.2487

Summary:
Its electronic total energy is -8.384 eV/atom. Its calculated formation energy is -0.41 eV per atom.


Record 10
## ThRu2 (PBE)

Data for a relaxed structure of ThRu2.

Cell: 7.685 7.685 7.685 Å, 90.00 90.00 90.00°
Space group Fd-3m (No. 227, origin choice 2)
Unique sites:
Th1 0.125 0.125 0.125
Ru1 0.000 0.000 0.500

Summary:
Its electronic total energy is -8.973 eV/atom. Its calculated formation energy is -0.32 eV per atom.


Record 11
## TmThRu2 (PBE)

Data for a relaxed structure of TmThRu2.

Cell: 6.924 6.924 6.924 Å, 90.00 90.00 90.00°
Space group Fm-3m (No. 225)
Unique sites:
Tm1 0.000 0.000 0.000
Th1 0.000 0.000 0.500
Ru1 0.250 0.250 0.250

Summary:
Its electronic total energy is -8.091 eV/atom. Its calculated formation energy is -0.48 eV per atom.


Record 12
## YThRu2 (PBE)

Data for a relaxed structure of YThRu2.

Cell: 6.977 6.977 6.977 Å, 90.00 90.00 90.00°
Space group Fm-3m (No. 225)
Unique sites:
Y1 0.000 0.000 0.000
Th1 0.000 0.000 0.500
Ru1 0.250 0.250 0.250

Summary:
Its electronic total energy is -8.524 eV/atom. Its calculated formation energy is -0.42 eV per atom.